## one
# Li3MnVP3O12

An optimized crystal structure of Li3MnVP3O12 (PBE with a Hubbard U, the Materials Project database).

Cell lengths 11.8936, 16.8644, 17.1795 Å; angles 90.00, 90.00, 90.00 degrees
Closest atoms and distances in Å follow each position.
Space group Fddd (No. 70, origin choice 2)
One atom of each set of equivalent atoms:
Li 0.0043 0.0639 0.3116 x32  8 O 2.30-2.54
Li 0.1250 0.1250 0.1250 x8  8 O 2.37-2.53
Li 0.1250 0.1250 0.6250 x8  8 O 2.31-2.52
Mn 0.0000 0.0000 0.0000 x16  6 O 2.09-2.15
V 0.0000 0.0000 0.5000 x16  6 O 2.01-2.05
P 0.0020 0.0627 0.8122 x32  4 O 1.54-1.59
P 0.1241 0.3750 0.8750 x16  4 O 1.54-1.59
O 0.0398 0.3059 0.8523 x32  1 P 1.59
O 0.0461 0.3546 0.3070 x32  1 P 1.54
O 0.0471 0.3499 0.6947 x32  1 P 1.59
O 0.0500 0.0611 0.8954 x32  1 P 1.54
O 0.0868 0.0020 0.2045 x32  1 P 1.55
O 0.0933 0.0451 0.7470 x32  1 P 1.59

## two
# Li3MnVP3O12

An optimized crystal structure of Li3MnVP3O12 (PBE with a Hubbard U, the Materials Project database).

Cell lengths 9.8477, 9.8608, 9.9014 Å; angles 85.79, 87.77, 88.03 degrees
Closest atoms and distances in Å follow each position.
Space group P1 (No. 1)
One atom of each set of equivalent atoms:
Li 0.0000 0.0000 0.0000 x1  3 O 1.99-2.17
Li 0.0298 0.7489 0.1321 x1  3 O 1.92-1.98
Li 0.0959 0.0565 0.7367 x1  3 O 1.91-2.04
Li 0.1859 0.5733 0.6490 x1  3 O 1.91-2.04
Li 0.3160 0.7733 0.4415 x1  3 O 1.91-1.99
Li 0.4119 0.3587 0.7775 x1  3 O 1.94-2.17
Li 0.4750 0.4641 0.5018 x1  3 O 1.98-2.20
Li 0.5109 0.6569 0.2283 x1  3 O 1.91-2.08
Li 0.6834 0.1590 0.0592 x1  3 O 1.91-2.01
Li 0.7178 0.4299 0.3707 x1  3 O 1.90-1.95
Li 0.8108 0.9565 0.2673 x1  3 O 1.90-2.07
Li 0.8977 0.2832 0.8534 x1  3 O 1.92-2.04
Mn 0.4798 0.9896 0.7621 x1  5 O 1.91-2.07
Mn 0.7003 0.7747 0.7435 x1  4 O 1.92-2.00
Mn 0.9219 0.7546 0.5272 x1  5 O 1.92-2.14
Mn 0.9764 0.2618 0.4752 x1  3 O 1.92-2.08
V 0.1995 0.2644 0.2549 x1  6 O 2.01-2.03
V 0.2059 0.4886 0.0368 x1  6 O 1.99-2.10
V 0.4159 0.0498 0.2533 x1  6 O 1.96-2.11
V 0.7034 0.5571 0.9632 x1  6 O 1.98-2.10
P 0.0020 0.6998 0.8534 x1  4 O 1.52-1.62
P 0.0967 0.9641 0.3268 x1  4 O 1.54-1.58
P 0.1170 0.5596 0.3553 x1  4 O 1.53-1.60
P 0.2738 0.1760 0.9545 x1  4 O 1.52-1.61
P 0.3050 0.1884 0.5535 x1  4 O 1.51-1.61
P 0.4042 0.6657 0.8264 x1  4 O 1.53-1.62
P 0.5027 0.3693 0.1737 x1  4 O 1.53-1.59
P 0.5988 0.8396 0.4471 x1  4 O 1.53-1.58
P 0.6147 0.8727 0.0529 x1  4 O 1.53-1.58
P 0.7810 0.4663 0.6489 x1  4 O 1.52-1.59
P 0.8000 0.0670 0.6745 x1  4 O 1.53-1.60
P 0.9019 0.3492 0.1405 x1  4 O 1.53-1.60
O 0.0129 0.9218 0.2097 x1  1 P 1.54
O 0.0381 0.8147 0.9381 x1  1 P 1.52
O 0.0427 0.7165 0.6997 x1  1 P 1.56
O 0.0450 0.8946 0.4649 x1  1 P 1.56
O 0.0638 0.3512 0.1234 x1  1 P 1.60
O 0.0652 0.5616 0.9066 x1  1 P 1.54
O 0.0699 0.1224 0.3307 x1  1 P 1.58
O 0.1140 0.3976 0.3829 x1  1 P 1.60
O 0.1499 0.1863 0.5862 x1  1 P 1.55
O 0.1503 0.5995 0.2021 x1  1 P 1.56
O 0.1528 0.1028 0.9087 x1  1 P 1.52
O 0.2240 0.6058 0.4484 x1  1 P 1.53
O 0.2510 0.9269 0.3160 x1  1 P 1.55
O 0.2595 0.3339 0.9209 x1  1 P 1.57
O 0.2788 0.1406 0.1153 x1  1 P 1.61
O 0.3320 0.1853 0.3921 x1  1 P 1.61
O 0.3420 0.3942 0.1737 x1  1 P 1.59
O 0.3479 0.6175 0.9686 x1  1 P 1.54
O 0.3634 0.0508 0.6182 x1  1 P 1.56
O 0.3635 0.5706 0.7202 x1  1 P 1.53
O 0.3680 0.8170 0.7933 x1  1 P 1.54
O 0.3717 0.3137 0.5965 x1  1 P 1.51
O 0.4129 0.1377 0.8883 x1  1 P 1.54
O 0.4781 0.9097 0.1244 x1  1 P 1.54
O 0.5095 0.7274 0.4032 x1  1 P 1.53
O 0.5386 0.2143 0.1918 x1  1 P 1.56
O 0.5465 0.4534 0.2896 x1  1 P 1.55
O 0.5517 0.9800 0.3833 x1  1 P 1.54
O 0.5668 0.4199 0.0366 x1  1 P 1.53
O 0.5684 0.6457 0.8292 x1  1 P 1.62
O 0.5775 0.8425 0.6058 x1  1 P 1.58
O 0.6051 0.9011 0.8945 x1  1 P 1.58
O 0.6422 0.7163 0.0843 x1  1 P 1.57
O 0.6496 0.1018 0.7045 x1  1 P 1.53
O 0.6656 0.4272 0.5631 x1  1 P 1.52
O 0.7290 0.9603 0.0960 x1  1 P 1.53
O 0.7522 0.8205 0.4075 x1  1 P 1.55
O 0.7566 0.4340 0.8051 x1  1 P 1.57
O 0.7965 0.6256 0.6194 x1  1 P 1.59
O 0.8259 0.9065 0.6673 x1  1 P 1.60
O 0.8384 0.6924 0.8702 x1  1 P 1.62
O 0.8423 0.1305 0.5305 x1  1 P 1.56
O 0.8447 0.4913 0.0915 x1  1 P 1.54
O 0.8579 0.2395 0.0508 x1  1 P 1.53
O 0.8614 0.3219 0.2926 x1  1 P 1.55
O 0.8974 0.1085 0.7803 x1  1 P 1.53
O 0.9189 0.3936 0.6140 x1  1 P 1.55
O 0.9736 0.6202 0.3863 x1  1 P 1.54

## three
# Li3MnVP3O12

An optimized crystal structure of Li3MnVP3O12 (PBE with a Hubbard U, the Materials Project database).

Cell lengths 9.7249, 9.8223, 9.8459 Å; angles 84.68, 86.24, 87.32 degrees
Closest atoms and distances in Å follow each position.
Space group P1 (No. 1)
One atom of each set of equivalent atoms:
Li 0.0000 0.0000 0.0000 x1  3 O 1.93-2.16
Li 0.0205 0.4971 0.6387 x1  4 O 2.07-2.16
Li 0.1639 0.1916 0.6589 x1  3 O 2.00-2.18
Li 0.2369 0.9632 0.4361 x1  3 O 1.99-2.16
Li 0.3815 0.9859 0.1310 x1  4 O 2.09-2.13
Li 0.4026 0.6333 0.6206 x1  3 O 1.92-2.07
Li 0.4356 0.7630 0.3573 x1  5 O 2.14-2.34
Li 0.5956 0.5150 0.3684 x1  1 O 1.89
Li 0.6800 0.8119 0.1556 x1  2 O 1.99-2.18
Li 0.7280 0.4712 0.8166 x1  3 O 1.99-2.19
Li 0.8079 0.2574 0.1138 x1  1 O 1.89
Li 0.9641 0.2680 0.8658 x1  5 O 2.13-2.35
Mn 0.2024 0.4991 0.1270 x1  6 O 1.93-2.12
Mn 0.6989 0.0135 0.6193 x1  5 O 1.91-2.09
Mn 0.7055 0.7890 0.8387 x1  6 O 1.98-2.20
Mn 0.9223 0.9948 0.4031 x1  5 O 1.96-2.05
V 0.2037 0.7209 0.9032 x1  6 O 1.95-2.13
V 0.4181 0.2847 0.1194 x1  6 O 1.96-2.16
V 0.4815 0.2242 0.6247 x1  6 O 1.94-2.17
V 0.9866 0.5077 0.3414 x1  6 O 1.95-2.15
P 0.0047 0.9357 0.7171 x1  4 O 1.53-1.61
P 0.1022 0.2003 0.1976 x1  4 O 1.52-1.60
P 0.1288 0.8099 0.2095 x1  4 O 1.53-1.58
P 0.2746 0.4121 0.8169 x1  4 O 1.54-1.57
P 0.2982 0.4307 0.4249 x1  4 O 1.52-1.60
P 0.3985 0.9108 0.6853 x1  4 O 1.53-1.60
P 0.5054 0.5953 0.0518 x1  4 O 1.53-1.60
P 0.6058 0.0777 0.3200 x1  4 O 1.53-1.60
P 0.6296 0.0928 0.9288 x1  4 O 1.51-1.59
P 0.7748 0.6994 0.5332 x1  4 O 1.51-1.60
P 0.7960 0.3093 0.5537 x1  4 O 1.53-1.59
P 0.8997 0.5735 0.0347 x1  4 O 1.53-1.62
O 0.0139 0.1685 0.0841 x1  1 P 1.52
O 0.0444 0.0608 0.7858 x1  1 P 1.53
O 0.0457 0.9505 0.5600 x1  1 P 1.57
O 0.0624 0.1277 0.3414 x1  1 P 1.56
O 0.0645 0.5777 0.0009 x1  1 P 1.62
O 0.0648 0.7986 0.7776 x1  1 P 1.53
O 0.0776 0.3610 0.2097 x1  1 P 1.60
O 0.1226 0.6514 0.2512 x1  1 P 1.58
O 0.1407 0.8428 0.0508 x1  1 P 1.56
O 0.1418 0.4601 0.4640 x1  1 P 1.57
O 0.1440 0.3556 0.7664 x1  1 P 1.54
O 0.2568 0.8617 0.2697 x1  1 P 1.54
O 0.2583 0.1631 0.1704 x1  1 P 1.56
O 0.2728 0.5707 0.7821 x1  1 P 1.56
O 0.2822 0.3733 0.9746 x1  1 P 1.57
O 0.3241 0.4202 0.2634 x1  1 P 1.60
O 0.3331 0.2882 0.4947 x1  1 P 1.53
O 0.3409 0.8495 0.8250 x1  1 P 1.53
O 0.3428 0.6279 0.0453 x1  1 P 1.60
O 0.3551 0.0664 0.6675 x1  1 P 1.56
O 0.3573 0.8382 0.5636 x1  1 P 1.53
O 0.3891 0.5445 0.4561 x1  1 P 1.52
O 0.4110 0.3556 0.7505 x1  1 P 1.54
O 0.4904 0.1323 0.0042 x1  1 P 1.55
O 0.5359 0.4383 0.0594 x1  1 P 1.55
O 0.5383 0.9536 0.2733 x1  1 P 1.53
O 0.5474 0.2168 0.2565 x1  1 P 1.55
O 0.5523 0.6582 0.1765 x1  1 P 1.53
O 0.5614 0.8874 0.6929 x1  1 P 1.60
O 0.5723 0.0863 0.4805 x1  1 P 1.60
O 0.5726 0.6487 0.9110 x1  1 P 1.55
O 0.6144 0.1326 0.7715 x1  1 P 1.58
O 0.6378 0.3426 0.5515 x1  1 P 1.56
O 0.6442 0.9311 0.9618 x1  1 P 1.59
O 0.6490 0.6583 0.4673 x1  1 P 1.51
O 0.7551 0.1606 0.9701 x1  1 P 1.51
O 0.7592 0.6664 0.6942 x1  1 P 1.59
O 0.7644 0.0749 0.2881 x1  1 P 1.55
O 0.7898 0.8598 0.4935 x1  1 P 1.60
O 0.8277 0.1491 0.5539 x1  1 P 1.59
O 0.8386 0.7143 0.9848 x1  1 P 1.53
O 0.8405 0.9256 0.7441 x1  1 P 1.61
O 0.8521 0.4493 0.9702 x1  1 P 1.53
O 0.8593 0.3674 0.4133 x1  1 P 1.55
O 0.8598 0.3625 0.6757 x1  1 P 1.53
O 0.8665 0.5605 0.1928 x1  1 P 1.56
O 0.9134 0.6265 0.4907 x1  1 P 1.55
O 0.9894 0.8763 0.2549 x1  1 P 1.53

## four
# Li3MnVP3O12

An optimized crystal structure of Li3MnVP3O12 (PBE with a Hubbard U, the Materials Project database).

Cell lengths 8.5490, 8.5649, 9.1417 Å; angles 90.11, 117.13, 119.71 degrees
Closest atoms and distances in Å follow each position.
Space group P-1 (No. 2)
One atom of each set of equivalent atoms:
Li 0.0764 0.2390 0.1510 x2  3 O 1.94-2.03
Li 0.1878 0.4302 0.8580 x2  3 O 1.97-2.05
Li 0.3907 0.8235 0.1295 x2  3 O 1.98-2.05
Mn 0.2954 0.6509 0.4396 x2  6 O 2.07-2.29
V 0.3063 0.1542 0.9602 x2  6 O 2.00-2.07
P 0.2009 0.9567 0.2476 x2  4 O 1.50-1.61
P 0.2126 0.7606 0.7506 x2  4 O 1.50-1.62
P 0.4947 0.4544 0.7507 x2  4 O 1.50-1.62
O 0.0017 0.6385 0.7439 x2  1 P 1.54
O 0.0106 0.9829 0.1802 x2  1 P 1.59
O 0.1195 0.7509 0.2505 x2  1 P 1.55
O 0.1989 0.7250 0.5830 x2  1 P 1.50
O 0.2576 0.9725 0.1001 x2  1 P 1.61
O 0.3135 0.9779 0.8228 x2  1 P 1.59
O 0.3144 0.3449 0.1044 x2  1 P 1.62
O 0.3494 0.3367 0.8231 x2  1 P 1.58
O 0.3677 0.4808 0.5858 x2  1 P 1.50
O 0.3686 0.7128 0.8940 x2  1 P 1.62
O 0.3894 0.1068 0.4132 x2  1 P 1.50
O 0.3933 0.6380 0.2583 x2  1 P 1.54

Of them, four has the highest stability.

## one
# Li3MnVP3O12

An optimized crystal structure of Li3MnVP3O12 (PBE with a Hubbard U, the Materials Project database).

Cell lengths 14.6346, 13.3044, 9.8068 Å; angles 90.00, 93.98, 90.00 degrees
Closest atoms and distances in Å follow each position.
Space group C2 (No. 5)
One atom of each set of equivalent atoms:
Li 0.1167 0.0000 0.0175 x4  3 O 1.99-2.04
Li 0.1372 0.3243 0.6160 x4  2 O 1.87-2.05
Li 0.1701 0.6003 0.5392 x4  3 O 1.99-2.09
Li 0.1842 0.7662 0.1774 x4  3 O 1.92-1.99
Li 0.2441 0.1818 0.1765 x4  4 O 2.06-2.22
Li 0.2495 0.4666 0.7497 x4  4 O 2.15-2.34
Mn 0.0000 0.6731 0.0000 x2  6 O 2.00-2.18
Mn 0.0000 0.9602 0.5000 x2  4 O 1.91-1.97
Mn 0.1186 0.0592 0.7231 x4  5 O 1.96-2.09
V 0.0000 0.4492 0.0000 x2  6 O 1.99-2.03
V 0.0000 0.7376 0.5000 x2  6 O 2.00-2.10
V 0.1095 0.3428 0.2168 x4  4 O 1.91-2.03
P 0.0109 0.5328 0.6977 x4  4 O 1.53-1.60
P 0.0162 0.8712 0.2020 x4  4 O 1.52-1.61
P 0.1151 0.2627 0.9009 x4  4 O 1.53-1.59
P 0.1196 0.1387 0.4081 x4  4 O 1.54-1.58
P 0.1940 0.5578 0.0671 x4  4 O 1.53-1.59
P 0.1986 0.8462 0.5781 x4  4 O 1.51-1.59
O 0.0243 0.5512 0.8591 x4  1 P 1.60
O 0.0240 0.7731 0.8551 x4  1 P 1.52
O 0.0238 0.8555 0.3649 x4  1 P 1.61
O 0.0289 0.3346 0.8740 x4  1 P 1.59
O 0.0291 0.6300 0.3678 x4  1 P 1.54
O 0.0406 0.0598 0.3769 x4  1 P 1.58
O 0.0499 0.9589 0.8419 x4  1 P 1.56
O 0.0644 0.4506 0.3288 x4  1 P 1.56
O 0.0813 0.2356 0.3366 x4  1 P 1.55
O 0.0842 0.1546 0.8626 x4  1 P 1.55
O 0.1039 0.5016 0.6487 x4  1 P 1.53
O 0.1137 0.8938 0.1600 x4  1 P 1.54
O 0.1313 0.4599 0.0711 x4  1 P 1.59
O 0.1334 0.1609 0.5636 x4  1 P 1.55
O 0.1341 0.6562 0.0564 x4  1 P 1.58
O 0.1340 0.7509 0.5595 x4  1 P 1.58
O 0.1375 0.9437 0.5963 x4  1 P 1.59
O 0.1470 0.2601 0.0561 x4  1 P 1.56
O 0.1891 0.3041 0.8136 x4  1 P 1.53
O 0.2080 0.1025 0.3465 x4  1 P 1.54
O 0.2431 0.3279 0.2856 x4  1 P 1.55
O 0.2477 0.0503 0.0575 x4  1 P 1.54
O 0.2482 0.3623 0.5470 x4  1 P 1.51
O 0.2487 0.5637 0.2053 x4  1 P 1.53

## two
# Li3MnVP3O12

An optimized crystal structure of Li3MnVP3O12 (PBE with a Hubbard U, the Materials Project database).

Cell lengths 8.4838, 8.4838, 22.7174 Å; angles 90.00, 90.00, 120.00 degrees
Closest atoms and distances in Å follow each position.
Space group R3 (No. 146, hexagonal axes)
One atom of each set of equivalent atoms:
Li 0.0175 0.6374 0.0000 x9  4 O 1.98-2.21
Li 0.0478 0.3536 0.9003 x9  3 O 1.95-2.00
Mn 0.0000 0.0000 0.1377 x3  6 O 2.00-2.12
Mn 0.0000 0.0000 0.6312 x3  6 O 2.07-2.09
V 0.0000 0.0000 0.4301 x3  6 O 1.95-2.07
V 0.0000 0.0000 0.9347 x3  6 O 2.05-2.06
P 0.0008 0.7092 0.5336 x9  4 O 1.54-1.57
P 0.0432 0.3759 0.7004 x9  4 O 1.51-1.59
O 0.0047 0.8089 0.4767 x9  1 P 1.54
O 0.0435 0.2086 0.3729 x9  1 P 1.57
O 0.0921 0.2366 0.9827 x9  1 P 1.59
O 0.0939 0.2325 0.6818 x9  1 P 1.54
O 0.1366 0.4646 0.7575 x9  1 P 1.51
O 0.1661 0.7178 0.8613 x9  1 P 1.54
O 0.1846 0.7601 0.2509 x9  1 P 1.57
O 0.1982 0.7638 0.5518 x9  1 P 1.55

Of them, two has the highest stability.